{"formula": "EuTl2Pd", "functional": "r²SCAN", "state": "optimized geometry", "formation_enthalpy_0k_mev_per_atom": -496, "spacegroup": "Cmcm (63)", "final_energy_ev_per_cell": -339.64, "vol_a3_per_atom": 25.1, "lattice_angstrom": [[-2.308, 3.637, -1.043], [-1.300, -1.958, 5.469], [5.989, 4.691, 3.103]], "species": ["Eu", "Eu", "Tl", "Tl", "Tl", "Tl", "Pd", "Pd"], "frac_coords": [[0.434, 0.868, 0.250], [0.566, 0.132, 0.750], [0.856, 0.712, 0.550], [0.144, 0.288, 0.050], [0.144, 0.288, 0.450], [0.856, 0.712, 0.950], [0.719, 0.439, 0.250], [0.281, 0.561, 0.750]]}